Record 1
## CaSmAg2 (r2SCAN)

Data for a relaxed structure of CaSmAg2.

Values from the calculation:
- calculated density (kg/m³) = 6795
- electronic total energy (eV/f.u.) = -80.7
- ΔH_f (0 K) (eV/f.u.) = -1.2

a b c (Å): 5.197 5.197 5.197
angles (deg): 60.00 60.00 60.00
Fractional coordinates of all 4 atoms:
1 Ca 0.000 0.000 0.000
2 Sm 0.500 0.500 0.500
3 Ag 0.250 0.250 0.250
4 Ag 0.750 0.750 0.750


Record 2
## Ca4ZnAg3 (r2SCAN)

Data for a relaxed structure of Ca4ZnAg3.

Values from the calculation:
- calculated density (kg/m³) = 4244
- electronic total energy (eV/f.u.) = -103.4
- ΔH_f (0 K) (eV/f.u.) = -2.3

a b c (Å): 4.275 4.447 11.307
angles (deg): 90.00 90.00 90.00
Fractional coordinates of all 8 atoms:
1 Ca 0.000 0.000 0.000
2 Ca 0.000 0.500 0.285
3 Ca 0.500 0.000 0.499
4 Ca 0.500 0.500 0.786
5 Zn 0.500 0.500 0.075
6 Ag 0.000 0.000 0.718
7 Ag 0.000 0.500 0.567
8 Ag 0.500 0.000 0.209


Record 3
## CaZnAg (r2SCAN)

Data for a relaxed structure of CaZnAg.

Values from the calculation:
- calculated density (kg/m³) = 5396
- electronic total energy (eV/f.u.) = -38.2
- ΔH_f (0 K) (eV/f.u.) = -0.9

a b c (Å): 5.798 5.798 7.331
angles (deg): 128.83 128.83 46.88
Fractional coordinates of all 6 atoms:
1 Ca 0.050 0.050 0.304
2 Ca 0.950 0.950 0.696
3 Zn 0.342 0.342 0.897
4 Zn 0.658 0.658 0.103
5 Ag 0.328 0.328 0.264
6 Ag 0.672 0.672 0.736